1.
Compound: VH
Source: the Materials Project database
Functional: meta-GGA r2SCAN
Structure: optimized geometry

Calculated values
- raw total energy (eV per atom) = -8.958

Cell and atoms, written as CIF:
```
data_VH
_chemical_formula_sum 'V4 H4'
_cell_length_a 3.928
_cell_length_b 3.928
_cell_length_c 3.928
_cell_angle_alpha 90.00
_cell_angle_beta 90.00
_cell_angle_gamma 90.00
_space_group_name_H-M_alt 'F m -3 m'
_space_group_IT_number 225
_space_group_name_Hall '-F 4 2 3'
loop_
_atom_site_label
_atom_site_fract_x
_atom_site_fract_y
_atom_site_fract_z
_atom_site_occupancy
V1 0.000 0.000 0.000 1
H1 0.000 0.000 0.500 1
```

2.
Compound: CsTi2Cl7
Source: the Materials Project database
Functional: meta-GGA r2SCAN
Structure: optimized geometry

Calculated values
- raw total energy (eV per atom) = -11.341

Cell and atoms, written as CIF:
```
data_CsTi2Cl7
_chemical_formula_sum 'Cs2 Ti4 Cl14'
_cell_length_a 6.491
_cell_length_b 11.370
_cell_length_c 7.378
_cell_angle_alpha 90.00
_cell_angle_beta 92.89
_cell_angle_gamma 90.00
_space_group_name_H-M_alt 'P 1 21/m 1'
_space_group_IT_number 11
_space_group_name_Hall '-P 2yb'
loop_
_atom_site_label
_atom_site_fract_x
_atom_site_fract_y
_atom_site_fract_z
_atom_site_occupancy
Cs1 0.065 0.250 0.371 1
Ti1 0.415 0.115 0.872 1
Cl1 0.117 0.250 0.870 1
Cl2 0.259 0.003 0.644 1
Cl3 0.268 0.503 0.110 1
Cl4 0.441 0.750 0.893 1
Cl5 0.444 0.750 0.350 1
```

3.
Compound: CsPbBr3
Source: the Materials Project database
Functional: meta-GGA r2SCAN
Structure: optimized geometry

Calculated values
- raw total energy (eV per atom) = -25.724

Cell and atoms, written as CIF:
```
data_CsPbBr3
_chemical_formula_sum 'Cs4 Pb4 Br12'
_cell_length_a 8.198
_cell_length_b 8.198
_cell_length_c 12.086
_cell_angle_alpha 90.00
_cell_angle_beta 90.00
_cell_angle_gamma 90.00
_space_group_name_H-M_alt 'I 4/m c m'
_space_group_IT_number 140
_space_group_name_Hall '-I 4 2c'
loop_
_atom_site_label
_atom_site_fract_x
_atom_site_fract_y
_atom_site_fract_z
_atom_site_occupancy
Cs1 0.000 0.500 0.250 1
Pb1 0.000 0.000 0.000 1
Br1 0.000 0.000 0.250 1
Br2 0.185 0.315 0.000 1
```

4.
Compound: Tb2TeO2
Source: the Materials Project database
Functional: meta-GGA r2SCAN
Structure: optimized geometry

Calculated values
- raw total energy (eV per atom) = -23.267

Cell and atoms, written as CIF:
```
data_Tb2TeO2
_chemical_formula_sum 'Tb4 Te2 O4'
_cell_length_a 3.931
_cell_length_b 3.931
_cell_length_c 12.496
_cell_angle_alpha 90.00
_cell_angle_beta 90.00
_cell_angle_gamma 90.00
_space_group_name_H-M_alt 'I 4/m m m'
_space_group_IT_number 139
_space_group_name_Hall '-I 4 2'
loop_
_atom_site_label
_atom_site_fract_x
_atom_site_fract_y
_atom_site_fract_z
_atom_site_occupancy
Tb1 0.000 0.000 0.162 1
Te1 0.000 0.000 0.500 1
O1 0.000 0.500 0.250 1
```

5.
Compound: Y2MnS4
Source: the Materials Project database
Functional: meta-GGA r2SCAN
Structure: optimized geometry

Calculated values
- raw total energy (eV per atom) = -14.501

Cell and atoms, written as CIF:
```
data_Y2MnS4
_chemical_formula_sum 'Y8 Mn4 S16'
_cell_length_a 3.786
_cell_length_b 12.412
_cell_length_c 12.835
_cell_angle_alpha 90.00
_cell_angle_beta 90.00
_cell_angle_gamma 90.00
_space_group_name_H-M_alt 'C m c 21'
_space_group_IT_number 36
_space_group_name_Hall 'C 2c -2'
loop_
_atom_site_label
_atom_site_fract_x
_atom_site_fract_y
_atom_site_fract_z
_atom_site_occupancy
Y1 0.000 0.118 0.000 1
Y2 0.000 0.362 0.203 1
Mn1 0.000 0.374 0.839 1
S1 0.000 0.012 0.790 1
S2 0.000 0.261 0.390 1
S3 0.000 0.290 0.650 1
S4 0.000 0.462 0.016 1
```

6.
Compound: Re3Se4Br
Source: the Materials Project database
Functional: meta-GGA r2SCAN
Structure: optimized geometry

Calculated values
- raw total energy (eV per atom) = -28.998

Cell and atoms, written as CIF:
```
data_Re3Se4Br
_chemical_formula_sum 'Re12 Se16 Br4'
_cell_length_a 6.656
_cell_length_b 11.959
_cell_length_c 11.511
_cell_angle_alpha 90.00
_cell_angle_beta 113.43
_cell_angle_gamma 90.00
_space_group_name_H-M_alt 'P 1 21/c 1'
_space_group_IT_number 14
_space_group_name_Hall '-P 2ybc'
loop_
_atom_site_label
_atom_site_fract_x
_atom_site_fract_y
_atom_site_fract_z
_atom_site_occupancy
Re1 0.029 0.069 0.151 1
Re2 0.030 0.140 0.937 1
Re3 0.299 0.519 0.561 1
Se1 0.235 0.717 0.478 1
Se2 0.274 0.055 0.838 1
Se3 0.289 0.587 0.766 1
Se4 0.347 0.178 0.146 1
Br1 0.087 0.153 0.374 1
```

7.
Compound: Cr2Te3
Source: the Materials Project database
Functional: meta-GGA r2SCAN
Structure: optimized geometry

Calculated values
- raw total energy (eV per atom) = -21.737

Cell and atoms, written as CIF:
```
data_Cr2Te3
_chemical_formula_sum 'Cr8 Te12'
_cell_length_a 6.8959
_cell_length_b 6.8959
_cell_length_c 12.5021
_cell_angle_alpha 90.00
_cell_angle_beta 90.00
_cell_angle_gamma 120.00
_space_group_name_H-M_alt 'P -3 1 c'
_space_group_IT_number 163
_space_group_name_Hall '-P 3 2c'
loop_
_atom_site_label
_atom_site_fract_x
_atom_site_fract_y
_atom_site_fract_z
_atom_site_occupancy
Cr1 0.0000 0.0000 0.0000 1
Cr2 0.3333 0.6667 0.0085 1
Cr3 0.3333 0.6667 0.7500 1
Te1 0.0078 0.3366 0.8789 1
```

8.
Compound: Sm5Si4
Source: the Materials Project database
Functional: meta-GGA r2SCAN
Structure: optimized geometry

Calculated values
- raw total energy (eV per atom) = -21.212

Cell and atoms, written as CIF:
```
data_Sm5Si4
_chemical_formula_sum 'Sm20 Si16'
_cell_length_a 7.667
_cell_length_b 14.971
_cell_length_c 7.851
_cell_angle_alpha 90.00
_cell_angle_beta 90.00
_cell_angle_gamma 90.00
_space_group_name_H-M_alt 'P n m a'
_space_group_IT_number 62
_space_group_name_Hall '-P 2ac 2n'
loop_
_atom_site_label
_atom_site_fract_x
_atom_site_fract_y
_atom_site_fract_z
_atom_site_occupancy
Sm1 0.037 0.100 0.186 1
Sm2 0.139 0.750 0.510 1
Sm3 0.188 0.122 0.681 1
Si1 0.018 0.750 0.097 1
Si2 0.136 0.541 0.475 1
Si3 0.250 0.250 0.377 1
```

9.
Compound: Li2HfO3
Source: the Materials Project database
Functional: meta-GGA r2SCAN
Structure: optimized geometry

Calculated values
- raw total energy (eV per atom) = -14.391

Cell and atoms, written as CIF:
```
data_Li2HfO3
_chemical_formula_sum 'Li4 Hf2 O6'
_cell_length_a 9.493
_cell_length_b 4.134
_cell_length_c 3.145
_cell_angle_alpha 90.00
_cell_angle_beta 101.34
_cell_angle_gamma 90.00
_space_group_name_H-M_alt 'C 1 2/m 1'
_space_group_IT_number 12
_space_group_name_Hall '-C 2y'
loop_
_atom_site_label
_atom_site_fract_x
_atom_site_fract_y
_atom_site_fract_z
_atom_site_occupancy
Li1 0.164 0.000 0.079 1
Hf1 0.000 0.500 0.500 1
O1 0.000 0.000 0.500 1
O2 0.147 0.500 0.089 1
```

10.
Compound: Zn3Pd
Source: the Materials Project database
Functional: meta-GGA r2SCAN
Structure: optimized geometry

Calculated values
- raw total energy (eV per atom) = -12.788

Cell and atoms, written as CIF:
```
data_Zn3Pd
_chemical_formula_sum 'Zn6 Pd2'
_cell_length_a 3.711
_cell_length_b 3.711
_cell_length_c 8.086
_cell_angle_alpha 90.00
_cell_angle_beta 90.00
_cell_angle_gamma 90.00
_space_group_name_H-M_alt 'I 4/m m m'
_space_group_IT_number 139
_space_group_name_Hall '-I 4 2'
loop_
_atom_site_label
_atom_site_fract_x
_atom_site_fract_y
_atom_site_fract_z
_atom_site_occupancy
Zn1 0.000 0.000 0.000 1
Zn2 0.000 0.500 0.250 1
Pd1 0.000 0.000 0.500 1
```

11.
Compound: YbBiAu
Source: the Materials Project database
Functional: meta-GGA r2SCAN
Structure: optimized geometry

Calculated values
- raw total energy (eV per atom) = -49.143

Cell and atoms, written as CIF:
```
data_YbBiAu
_chemical_formula_sum 'Yb2 Bi2 Au2'
_cell_length_a 4.4990
_cell_length_b 4.4990
_cell_length_c 9.0571
_cell_angle_alpha 90.00
_cell_angle_beta 90.00
_cell_angle_gamma 120.00
_space_group_name_H-M_alt 'P 63 m c'
_space_group_IT_number 186
_space_group_name_Hall 'P 6c -2c'
loop_
_atom_site_label
_atom_site_fract_x
_atom_site_fract_y
_atom_site_fract_z
_atom_site_occupancy
Yb1 0.0000 0.0000 0.0000 1
Bi1 0.3333 0.6667 0.2777 1
Au1 0.3333 0.6667 0.6379 1
```

12.
Compound: NaVF6
Source: the Materials Project database
Functional: meta-GGA r2SCAN
Structure: optimized geometry

Calculated values
- raw total energy (eV per atom) = -7.523

Cell and atoms, written as CIF:
```
data_NaVF6
_chemical_formula_sum 'Na4 V4 F24'
_cell_length_a 9.396
_cell_length_b 5.836
_cell_length_c 7.586
_cell_angle_alpha 90.00
_cell_angle_beta 90.00
_cell_angle_gamma 90.00
_space_group_name_H-M_alt 'P n m a'
_space_group_IT_number 62
_space_group_name_Hall '-P 2ac 2n'
loop_
_atom_site_label
_atom_site_fract_x
_atom_site_fract_y
_atom_site_fract_z
_atom_site_occupancy
Na1 0.005 0.250 0.166 1
V1 0.229 0.250 0.616 1
F1 0.107 0.029 0.673 1
F2 0.140 0.538 0.048 1
F3 0.164 0.250 0.393 1
F4 0.196 0.750 0.328 1
```

13.
Compound: Sr2LiBeB3O8
Source: the Materials Project database
Functional: meta-GGA r2SCAN
Structure: optimized geometry

Calculated values
- raw total energy (eV per atom) = -10.047

Cell and atoms, written as CIF:
```
data_Sr2LiBeB3O8
_chemical_formula_sum 'Sr8 Li4 Be4 B12 O32'
_cell_length_a 8.601
_cell_length_b 6.491
_cell_length_c 12.871
_cell_angle_alpha 90.00
_cell_angle_beta 106.90
_cell_angle_gamma 90.00
_space_group_name_H-M_alt 'P 1 21/c 1'
_space_group_IT_number 14
_space_group_name_Hall '-P 2ybc'
loop_
_atom_site_label
_atom_site_fract_x
_atom_site_fract_y
_atom_site_fract_z
_atom_site_occupancy
Sr1 0.035 0.107 0.158 1
Sr2 0.359 0.245 0.928 1
Li1 0.375 0.729 0.329 1
Be1 0.322 0.072 0.655 1
B1 0.061 0.651 0.119 1
B2 0.262 0.732 0.014 1
B3 0.403 0.047 0.206 1
O1 0.060 0.235 0.349 1
O2 0.116 0.729 0.543 1
O3 0.137 0.028 0.658 1
O4 0.292 0.642 0.439 1
O5 0.308 0.511 0.769 1
O6 0.348 0.191 0.122 1
O7 0.360 0.572 0.060 1
O8 0.440 0.026 0.777 1
```

14.
Compound: Mg
Source: the Materials Project database
Functional: meta-GGA r2SCAN
Structure: optimized geometry

Calculated values
- ΔE to the lowest computed polymorph (eV/atom) = 0.0086

Cell and atoms, written as CIF:
```
data_Mg
_chemical_formula_sum 'Mg4'
_cell_length_a 3.1768
_cell_length_b 3.1768
_cell_length_c 10.3189
_cell_angle_alpha 90.00
_cell_angle_beta 90.00
_cell_angle_gamma 120.00
_space_group_name_H-M_alt 'P 63/m m c'
_space_group_IT_number 194
_space_group_name_Hall '-P 6c 2c'
loop_
_atom_site_label
_atom_site_fract_x
_atom_site_fract_y
_atom_site_fract_z
_atom_site_occupancy
Mg1 0.0000 0.0000 0.0000 1
Mg2 0.3333 0.6667 0.2500 1
```

15.
Compound: Al2O3
Source: the Materials Project database
Functional: meta-GGA r2SCAN
Structure: optimized geometry

Calculated values
- raw total energy (eV per atom) = -9.531

Cell and atoms, written as CIF:
```
data_Al2O3
_chemical_formula_sum 'Al8 O12'
_cell_length_a 9.671
_cell_length_b 5.504
_cell_length_c 4.925
_cell_angle_alpha 90.00
_cell_angle_beta 90.00
_cell_angle_gamma 90.00
_space_group_name_H-M_alt 'C m c 21'
_space_group_IT_number 36
_space_group_name_Hall 'C 2c -2'
loop_
_atom_site_label
_atom_site_fract_x
_atom_site_fract_y
_atom_site_fract_z
_atom_site_occupancy
Al1 0.168 0.160 0.000 1
O1 0.000 0.219 0.057 1
O2 0.221 0.120 0.656 1
```

16.
Compound: CeMg2Si2
Source: the Materials Project database
Functional: meta-GGA r2SCAN
Structure: optimized geometry

Calculated values
- raw total energy (eV per atom) = -11.817

Cell and atoms, written as CIF:
```
data_CeMg2Si2
_chemical_formula_sum 'Ce1 Mg2 Si2'
_cell_length_a 4.240
_cell_length_b 4.240
_cell_length_c 5.822
_cell_angle_alpha 90.00
_cell_angle_beta 90.00
_cell_angle_gamma 90.00
_space_group_name_H-M_alt 'P 4/m m m'
_space_group_IT_number 123
_space_group_name_Hall '-P 4 2'
loop_
_atom_site_label
_atom_site_fract_x
_atom_site_fract_y
_atom_site_fract_z
_atom_site_occupancy
Ce1 0.000 0.000 0.000 1
Mg1 0.000 0.500 0.500 1
Si1 0.500 0.500 0.197 1
```

17.
Compound: Sc2O3
Source: the Materials Project database
Functional: meta-GGA r2SCAN
Structure: optimized geometry

Calculated values
- raw total energy (eV per atom) = -11.901

Cell and atoms, written as CIF:
```
data_Sc2O3
_chemical_formula_sum 'Sc12 O18'
_cell_length_a 5.4002
_cell_length_b 5.4002
_cell_length_c 14.7276
_cell_angle_alpha 90.00
_cell_angle_beta 90.00
_cell_angle_gamma 120.00
_space_group_name_H-M_alt 'R -3'
_space_group_IT_number 148
_space_group_name_Hall '-R 3'
loop_
_atom_site_label
_atom_site_fract_x
_atom_site_fract_y
_atom_site_fract_z
_atom_site_occupancy
Sc1 0.0000 0.0000 0.0000 1
Sc2 0.0000 0.0000 0.2001 1
Sc3 0.0000 0.0000 0.5000 1
O1 0.0171 0.7102 0.0941 1
```

So what do the calculations give for spin magnetization? Going down the list: 0.0; 4.0; 0.0; 0.0; 20.0; 0.0; 24.2; 10.1; 0.0; 0.0; 0.0; 0.0; 0.0; 0.0; 0.0; 1.0; 0.0 μB/cell.
So what do the calculations give for calculated volume? Going down the list: 7.6; 27.2; 40.6; 19.3; 21.5; 26.3; 25.7; 25.0; 10.1; 13.9; 26.5; 13.0; 11.5; 22.5; 13.1; 20.9; 12.4 A^3/atom.